[1]
A geometry-optimized Li9Mn5Si2O16 structure. Source: the Materials Project database, functional GGA+U.

Results
The calculated formation energy comes out at -2.361 eV per atom. Its volume is 9.09 A^3/atom. The total magnetization comes out at 20.00 μB/f.u. As for the total energy after the MP2020 corrections: -228.57 eV for the cell shown.

Lattice parameters (Å, degrees): 5.0770 5.3297 10.9800 87.29 80.10 84.01
Last column: nearest neighbours and their distance in Å.
Fractional coordinates of all 32 atoms:
Li 0.0000 0.0000 0.0000  4 O 2.02-2.04
Li 0.0655 0.7543 0.4375  6 O 2.11-2.26
Li 0.1822 0.2495 0.3087  6 O 2.03-2.26
Li 0.3270 0.7301 0.1825  5 O 2.03-2.14
Li 0.4152 0.2635 0.0578  4 O 2.01-2.12
Li 0.5848 0.7365 0.9422  4 O 2.01-2.12
Li 0.6730 0.2699 0.8175  5 O 2.03-2.14
Li 0.8178 0.7505 0.6913  6 O 2.03-2.26
Li 0.9345 0.2457 0.5625  6 O 2.11-2.26
Mn 0.2444 0.0003 0.7579  4 O 1.94-1.99
Mn 0.3710 0.5002 0.6288  4 O 1.97-1.98
Mn 0.5000 0.0000 0.5000  4 O 1.95-1.97
Mn 0.6290 0.4998 0.3712  4 O 1.97-1.98
Mn 0.7556 0.9997 0.2421  4 O 1.94-1.99
Si 0.1202 0.5019 0.8798  6 O 1.81-1.87
Si 0.8798 0.4981 0.1202  6 O 1.81-1.87
O 0.0419 0.3965 0.7343  1 Si 1.84, 1 Mn 1.98
O 0.0453 0.1811 0.1516  1 Si 1.85, 1 Mn 1.95, 3 Li 2.02-2.06
O 0.1697 0.8937 0.5973  2 Mn 1.95-1.99, 3 Li 2.10-2.17
O 0.1868 0.5943 0.0275  2 Si 1.81-1.82
O 0.2940 0.3970 0.4698  2 Mn 1.97, 3 Li 2.15-2.17
O 0.3027 0.1821 0.8983  1 Si 1.87, 1 Mn 1.94, 3 Li 2.01-2.04
O 0.4196 0.8936 0.3424  2 Mn 1.97-1.98, 3 Li 2.11-2.19
O 0.4327 0.6048 0.7910  1 Si 1.84, 1 Mn 1.98
O 0.5673 0.3952 0.2090  1 Si 1.84, 1 Mn 1.98
O 0.5804 0.1064 0.6576  2 Mn 1.97-1.98, 3 Li 2.11-2.19
O 0.6973 0.8179 0.1017  1 Si 1.87, 1 Mn 1.94, 3 Li 2.01-2.04
O 0.7060 0.6030 0.5302  2 Mn 1.97, 3 Li 2.15-2.17
O 0.8132 0.4057 0.9725  2 Si 1.81-1.82
O 0.8303 0.1063 0.4027  2 Mn 1.95-1.99, 3 Li 2.10-2.17
O 0.9547 0.8189 0.8484  1 Si 1.85, 1 Mn 1.95, 3 Li 2.02-2.06
O 0.9581 0.6035 0.2657  1 Si 1.84, 1 Mn 1.98

[2]
A geometry-optimized Li2Mn2Si2O7 structure. Source: the Materials Project database, functional GGA+U.

Results
As for the energy above the most stable polymorph in this dataset: 18 meV per atom. The calculated formation energy comes out at -2.683 eV per atom. Its volume is 12.24 A^3/atom. The total magnetization comes out at 0.00 μB/f.u. As for the total energy after the MP2020 corrections: -410.04 eV for the cell shown.

Lattice parameters (Å, degrees): 5.5464 13.4204 10.1801 90.00 122.89 90.00
Last column: nearest neighbours and their distance in Å.
Fractional coordinates of all 52 atoms:
Li 0.0340 0.2431 0.3322  3 O 1.99-2.22
Li 0.0340 0.2569 0.8322  3 O 1.99-2.22
Li 0.2723 0.1433 0.6174  3 O 1.99-2.17
Li 0.2723 0.3567 0.1174  3 O 1.99-2.17
Li 0.7277 0.6433 0.8826  3 O 1.99-2.17
Li 0.7277 0.8567 0.3826  3 O 1.99-2.17
Li 0.9660 0.7431 0.1678  3 O 1.99-2.22
Li 0.9660 0.7569 0.6678  3 O 1.99-2.22
Mn 0.1596 0.5091 0.8021  4 O 2.07-2.12
Mn 0.1596 0.9909 0.3021  4 O 2.07-2.12
Mn 0.4570 0.0861 0.1132  3 O 2.05-2.19
Mn 0.4570 0.4139 0.6132  3 O 2.05-2.19
Mn 0.5430 0.5861 0.3868  3 O 2.05-2.19
Mn 0.5430 0.9139 0.8868  3 O 2.05-2.19
Mn 0.8404 0.0091 0.6979  4 O 2.07-2.12
Mn 0.8404 0.4909 0.1979  4 O 2.07-2.12
Si 0.2201 0.6178 0.5416  4 O 1.62-1.67
Si 0.2201 0.8822 0.0416  4 O 1.62-1.67
Si 0.3573 0.6731 0.0408  4 O 1.63-1.69
Si 0.3573 0.8269 0.5408  4 O 1.63-1.69
Si 0.6427 0.1731 0.4592  4 O 1.63-1.69
Si 0.6427 0.3269 0.9592  4 O 1.63-1.69
Si 0.7799 0.1178 0.9584  4 O 1.62-1.67
Si 0.7799 0.3822 0.4584  4 O 1.62-1.67
O 0.0723 0.6428 0.8689  1 Si 1.65
O 0.0723 0.8572 0.3689  1 Si 1.65
O 0.0789 0.1685 0.0016  1 Si 1.62
O 0.0789 0.3315 0.5016  1 Si 1.62
O 0.1975 0.5352 0.4145  1 Si 1.66
O 0.1975 0.9648 0.9145  1 Si 1.66
O 0.2905 0.6583 0.1768  1 Si 1.63
O 0.2905 0.8417 0.6768  1 Si 1.63
O 0.3503 0.1195 0.4323  1 Si 1.66
O 0.3503 0.3805 0.9323  1 Si 1.66
O 0.4044 0.5615 0.7130  1 Si 1.65
O 0.4044 0.9385 0.2130  1 Si 1.65
O 0.4323 0.7053 0.5386  2 Si 1.67-1.69
O 0.4323 0.7947 0.0386  2 Si 1.67-1.69
O 0.5677 0.2053 0.9614  2 Si 1.67-1.69
O 0.5677 0.2947 0.4614  2 Si 1.67-1.69
O 0.5956 0.0615 0.7870  1 Si 1.65
O 0.5956 0.4385 0.2870  1 Si 1.65
O 0.6497 0.6195 0.0677  1 Si 1.66
O 0.6497 0.8805 0.5677  1 Si 1.66
O 0.7095 0.1583 0.3232  1 Si 1.63
O 0.7095 0.3417 0.8232  1 Si 1.63
O 0.8025 0.0352 0.0855  1 Si 1.66
O 0.8025 0.4648 0.5855  1 Si 1.66
O 0.9211 0.6685 0.4984  1 Si 1.62
O 0.9211 0.8315 0.9984  1 Si 1.62
O 0.9277 0.1428 0.6311  1 Si 1.65
O 0.9277 0.3572 0.1311  1 Si 1.65

[3]
A geometry-optimized Li2Mn2Si2O7 structure. Source: the Materials Project database, functional GGA+U.

Results
For the piezoelectric modulus e_max, the calculation gives 0.72 C/m². As for the energy above the most stable polymorph in this dataset: 0 meV per atom. The calculated formation energy comes out at -2.701 eV per atom. Its volume is 11.31 A^3/atom. The total magnetization comes out at 0.00 μB/f.u. As for the total energy after the MP2020 corrections: -205.48 eV for the cell shown.

Lattice parameters (Å, degrees): 13.3687 5.0101 5.0101 118.79 90.00 90.00
Last column: nearest neighbours and their distance in Å.
Fractional coordinates of all 26 atoms:
Li 0.0820 0.2039 0.7961  4 O 1.95-2.07
Li 0.4180 0.2039 0.7961  4 O 1.95-2.07
Li 0.5820 0.7961 0.2039  4 O 1.95-2.07
Li 0.9180 0.7961 0.2039  4 O 1.95-2.07
Mn 0.0000 0.4778 0.4778  6 O 2.22-2.32
Mn 0.2500 0.4868 0.4518  5 O 2.17-2.25
Mn 0.5000 0.4778 0.4778  6 O 2.22-2.32
Mn 0.7500 0.4518 0.4868  5 O 2.17-2.25
Si 0.1368 0.8543 0.1406  4 O 1.62-1.71
Si 0.3632 0.8543 0.1406  4 O 1.62-1.71
Si 0.6368 0.1406 0.8543  4 O 1.62-1.71
Si 0.8632 0.1406 0.8543  4 O 1.62-1.71
O 0.0567 0.8332 0.3724  1 Si 1.62
O 0.1292 0.1902 0.1583  1 Si 1.64
O 0.1336 0.5803 0.7869  1 Si 1.64
O 0.2500 0.8320 0.2858  2 Si 1.71
O 0.3664 0.5803 0.7869  1 Si 1.64
O 0.3708 0.1902 0.1583  1 Si 1.64
O 0.4433 0.8332 0.3724  1 Si 1.62
O 0.5567 0.3724 0.8332  1 Si 1.62
O 0.6292 0.1583 0.1902  1 Si 1.64
O 0.6336 0.7869 0.5803  1 Si 1.64
O 0.7500 0.2858 0.8320  2 Si 1.71
O 0.8664 0.7869 0.5803  1 Si 1.64
O 0.8708 0.1583 0.1902  1 Si 1.64
O 0.9433 0.3724 0.8332  1 Si 1.62

[4]
A geometry-optimized Li5MnSi2O8 structure. Source: the Materials Project database, functional GGA+U.

Results
For the piezoelectric modulus e_max, the calculation gives 0.71 C/m². The calculated formation energy comes out at -2.637 eV per atom. Its volume is 10.97 A^3/atom. The total magnetization comes out at 0.00 μB/f.u. As for the total energy after the MP2020 corrections: -445.31 eV for the cell shown.

Lattice parameters (Å, degrees): 6.3504 15.2250 7.2685 90.00 88.18 90.00
Last column: nearest neighbours and their distance in Å.
Fractional coordinates of all 64 atoms:
Li 0.4923 0.9954 0.8147  4 O 1.92-2.14
Si 0.0099 0.7464 0.3270  4 O 1.62-1.71
O 0.6986 0.7485 0.8101  1 Si 1.68
O 0.2761 0.5020 0.2990  1 Si 1.62
O 0.5094 0.8363 0.5320  1 Si 1.71, 1 Mn 1.90
O 0.5094 0.5863 0.0320  1 Si 1.71, 1 Mn 1.90
O 0.9982 0.6648 0.4698  1 Si 1.62
O 0.2239 0.5020 0.7010  1 Si 1.62
Si 0.4901 0.4964 0.1730  4 O 1.62-1.71
O 0.6987 0.4985 0.3100  1 Si 1.68
Li 0.2500 0.0919 0.5000  4 O 1.96-2.01
O 0.8014 0.7485 0.1899  1 Si 1.68
O 0.2761 0.0020 0.2990  1 Si 1.62
O 0.6986 0.2485 0.8100  1 Si 1.68
Si 0.4901 0.7464 0.6730  4 O 1.62-1.71
O 0.5094 0.3363 0.5320  1 Si 1.71, 1 Mn 1.90
Li 0.2500 0.1642 0.0000  4 O 1.98-2.05
O 0.8013 0.2485 0.1899  1 Si 1.68
O 0.2239 0.0020 0.7010  1 Si 1.62
Li 0.2500 0.8419 0.0000  4 O 1.96-2.01
O 0.5017 0.9148 0.0302  1 Si 1.62
O 0.9906 0.5863 0.9680  1 Si 1.71, 1 Mn 1.90
Li 0.0077 0.2454 0.6853  4 O 1.92-2.14
Mn 0.7500 0.6600 0.0000  4 O 1.90-1.96
O 0.9982 0.9148 0.9698  1 Si 1.62
Si 0.0099 0.9964 0.8270  4 O 1.62-1.71
Li 0.7500 0.3472 0.0000  4 O 1.89-2.07
Li 0.2500 0.6642 0.0000  4 O 1.98-2.05
O 0.2761 0.2520 0.7990  1 Si 1.62
O 0.2239 0.2520 0.2010  1 Si 1.62
O 0.5017 0.1648 0.5303  1 Si 1.62
Li 0.0077 0.7454 0.6853  4 O 1.92-2.14
O 0.6987 0.9985 0.3100  1 Si 1.68
Mn 0.7500 0.9099 0.5000  4 O 1.90-1.96
Li 0.7500 0.8472 0.0000  4 O 1.89-2.07
O 0.5018 0.6648 0.5302  1 Si 1.62
Li 0.0077 0.4954 0.1853  4 O 1.92-2.14
O 0.2239 0.7520 0.2010  1 Si 1.62
O 0.8013 0.9985 0.6900  1 Si 1.68
Li 0.4923 0.2454 0.3147  4 O 1.92-2.14
Li 0.2500 0.4142 0.5000  4 O 1.98-2.05
O 0.9906 0.0863 0.9680  1 Si 1.71, 1 Mn 1.90
Li 0.7500 0.0972 0.5000  4 O 1.89-2.07
Si 0.4901 0.9964 0.1730  4 O 1.62-1.71
Li 0.4923 0.7454 0.3147  4 O 1.92-2.14
O 0.9906 0.3363 0.4680  1 Si 1.71, 1 Mn 1.90
Li 0.0077 0.9954 0.1853  4 O 1.92-2.14
Li 0.2500 0.9142 0.5000  4 O 1.98-2.05
Li 0.4923 0.4954 0.8147  4 O 1.92-2.14
O 0.9982 0.4148 0.9698  1 Si 1.62
O 0.9982 0.1648 0.4698  1 Si 1.62
O 0.8013 0.4985 0.6900  1 Si 1.68
Si 0.0099 0.2464 0.3270  4 O 1.62-1.71
O 0.5018 0.4148 0.0302  1 Si 1.62
O 0.9906 0.8363 0.4680  1 Si 1.71, 1 Mn 1.90
Li 0.2500 0.5919 0.5000  4 O 1.96-2.01
Li 0.7500 0.5972 0.5000  4 O 1.89-2.07
Li 0.2500 0.3420 0.0000  4 O 1.96-2.01
Si 0.4901 0.2464 0.6730  4 O 1.62-1.71
O 0.5094 0.0863 0.0320  1 Si 1.71, 1 Mn 1.90
Mn 0.7500 0.4099 0.5000  4 O 1.90-1.97
Si 0.0099 0.4964 0.8270  4 O 1.62-1.71
Mn 0.7500 0.1600 0.9999  4 O 1.90-1.96
O 0.2761 0.7520 0.7990  1 Si 1.62

[5]
A geometry-optimized LiMnSi4O10 structure. Source: the Materials Project database, functional GGA+U.

Results
The calculated formation energy comes out at -2.937 eV per atom. Its volume is 12.47 A^3/atom. The total magnetization comes out at 4.00 μB/f.u. As for the total energy after the MP2020 corrections: -516.98 eV for the cell shown.

Lattice parameters (Å, degrees): 7.2963 7.2963 14.9921 90.00 90.00 90.00
Last column: nearest neighbours and their distance in Å.
Fractional coordinates of all 64 atoms:
Li 0.2500 0.7500 0.0000  4 O 2.30
Li 0.2500 0.7500 0.5000  4 O 2.30
Li 0.7500 0.2500 0.0000  4 O 2.30
Li 0.7500 0.2500 0.5000  4 O 2.30
Mn 0.2500 0.2500 0.0755  4 O 1.91
Mn 0.2500 0.2500 0.5755  4 O 1.91
Mn 0.7500 0.7500 0.4245  4 O 1.91
Mn 0.7500 0.7500 0.9245  4 O 1.91
Si 0.0028 0.5786 0.1447  4 O 1.62-1.64
Si 0.0028 0.9214 0.6447  4 O 1.62-1.64
Si 0.0786 0.5028 0.3553  4 O 1.62-1.64
Si 0.0786 0.9972 0.8553  4 O 1.62-1.64
Si 0.4214 0.5028 0.8553  4 O 1.62-1.64
Si 0.4214 0.9972 0.3553  4 O 1.62-1.64
Si 0.4972 0.5786 0.6447  4 O 1.62-1.64
Si 0.4972 0.9214 0.1447  4 O 1.62-1.64
Si 0.5028 0.0786 0.8553  4 O 1.62-1.64
Si 0.5028 0.4214 0.3553  4 O 1.62-1.64
Si 0.5786 0.0028 0.6447  4 O 1.62-1.64
Si 0.5786 0.4972 0.1447  4 O 1.62-1.64
Si 0.9214 0.0028 0.1447  4 O 1.62-1.64
Si 0.9214 0.4972 0.6447  4 O 1.62-1.64
Si 0.9972 0.0786 0.3553  4 O 1.62-1.64
Si 0.9972 0.4214 0.8553  4 O 1.62-1.64
O 0.0024 0.7014 0.6228  2 Si 1.64
O 0.0024 0.7986 0.1228  2 Si 1.64
O 0.0040 0.1598 0.0800  1 Si 1.62
O 0.0040 0.3402 0.5800  1 Si 1.62
O 0.0465 0.5465 0.2500  2 Si 1.63
O 0.0465 0.9535 0.7500  2 Si 1.63
O 0.1598 0.0040 0.5800  1 Si 1.62
O 0.1598 0.4960 0.0800  1 Si 1.62
O 0.2014 0.5024 0.8772  2 Si 1.64
O 0.2014 0.9976 0.3772  2 Si 1.64
O 0.2986 0.5024 0.3772  2 Si 1.64
O 0.2986 0.9976 0.8772  2 Si 1.64
O 0.3402 0.0040 0.0800  1 Si 1.62
O 0.3402 0.4960 0.5800  1 Si 1.62
O 0.4535 0.5465 0.7500  2 Si 1.63
O 0.4535 0.9535 0.2500  2 Si 1.63
O 0.4960 0.1598 0.5800  1 Si 1.62
O 0.4960 0.3402 0.0800  1 Si 1.62
O 0.4976 0.7014 0.1228  2 Si 1.64
O 0.4976 0.7986 0.6228  2 Si 1.64
O 0.5024 0.2014 0.3772  2 Si 1.64
O 0.5024 0.2986 0.8772  2 Si 1.64
O 0.5040 0.6598 0.9200  1 Si 1.62
O 0.5040 0.8402 0.4200  1 Si 1.62
O 0.5465 0.0465 0.7500  2 Si 1.63
O 0.5465 0.4535 0.2500  2 Si 1.63
O 0.6598 0.5040 0.4200  1 Si 1.62
O 0.6598 0.9960 0.9200  1 Si 1.62
O 0.7014 0.0024 0.1228  2 Si 1.64
O 0.7014 0.4976 0.6228  2 Si 1.64
O 0.7986 0.0024 0.6228  2 Si 1.64
O 0.7986 0.4976 0.1228  2 Si 1.64
O 0.8402 0.5040 0.9200  1 Si 1.62
O 0.8402 0.9960 0.4200  1 Si 1.62
O 0.9535 0.0465 0.2500  2 Si 1.63
O 0.9535 0.4535 0.7500  2 Si 1.63
O 0.9960 0.6598 0.4200  1 Si 1.62
O 0.9960 0.8402 0.9200  1 Si 1.62
O 0.9976 0.2014 0.8772  2 Si 1.64
O 0.9976 0.2986 0.3772  2 Si 1.64

[6]
A geometry-optimized Li4MnSi2O7 structure. Source: the Materials Project database, functional GGA+U.

Results
As for the energy above the most stable polymorph in this dataset: 12 meV per atom. The calculated formation energy comes out at -2.749 eV per atom. Its volume is 10.61 A^3/atom. The total magnetization comes out at 0.00 μB/f.u. As for the total energy after the MP2020 corrections: -403.10 eV for the cell shown.

Lattice parameters (Å, degrees): 6.9212 9.5394 9.1898 90.00 90.00 78.33
Last column: nearest neighbours and their distance in Å.
Fractional coordinates of all 56 atoms:
O 0.2324 0.9477 0.3549  1 Si 1.65
O 0.1139 0.6365 0.3881  1 Si 1.64
O 0.8866 0.8632 0.6381  1 Si 1.65
Li 0.8511 0.2119 0.7476  4 O 1.94-2.07
Si 0.7089 0.4239 0.0051  4 O 1.62-1.73
O 0.1134 0.1368 0.6381  1 Si 1.65
Mn 0.0000 0.5000 0.2512  4 O 2.08
Li 0.4400 0.8504 0.4906  3 O 1.95-1.99
O 0.3416 0.7061 0.6024  1 Si 1.62
O 0.5000 0.0000 0.6587  2 Si 1.72
Li 0.8511 0.7119 0.9975  4 O 1.94-2.07
O 0.7683 0.5525 0.1047  1 Si 1.65
O 0.3426 0.2060 0.3523  1 Si 1.62
Li 0.1489 0.7881 0.2476  4 O 1.94-2.07
Li 0.5599 0.1496 0.4906  3 O 1.95-1.99
Li 0.5599 0.6496 0.7405  3 O 1.95-1.99
O 0.8861 0.3635 0.3881  1 Si 1.64
Li 0.5599 0.1496 0.9906  3 O 1.95-1.98
Si 0.7089 0.9237 0.7549  4 O 1.62-1.72
Li 0.4401 0.3504 0.2405  3 O 1.95-1.99
O 0.3426 0.2060 0.8523  1 Si 1.62
Si 0.2911 0.0763 0.2549  4 O 1.62-1.72
Si 0.2911 0.5761 0.0051  4 O 1.62-1.73
Si 0.7089 0.4239 0.5050  4 O 1.62-1.73
Li 0.1489 0.2881 0.4975  4 O 1.94-2.08
Si 0.2911 0.5761 0.5051  4 O 1.62-1.73
Si 0.2912 0.0763 0.7549  4 O 1.62-1.72
O 0.6584 0.2939 0.1024  1 Si 1.62
Li 0.8511 0.2119 0.2476  4 O 1.94-2.07
Li 0.4401 0.8504 0.9906  3 O 1.95-1.98
Mn 0.0000 0.0000 0.0010  4 O 2.08
O 0.7684 0.5525 0.6047  1 Si 1.65
O 0.1139 0.6365 0.8881  1 Si 1.64
Li 0.1489 0.2881 0.9975  4 O 1.94-2.07
Li 0.5599 0.6496 0.2405  3 O 1.95-1.99
O 0.5000 0.0000 0.1587  2 Si 1.72
O 0.6584 0.2939 0.6024  1 Si 1.62
O 0.8862 0.3635 0.8881  1 Si 1.64
Li 0.1489 0.7881 0.7476  4 O 1.94-2.07
O 0.2316 0.4475 0.1048  1 Si 1.65
Li 0.8511 0.7119 0.4975  4 O 1.94-2.07
O 0.8866 0.8632 0.1381  1 Si 1.65
O 0.7676 0.0524 0.3549  1 Si 1.65
O 0.3416 0.7061 0.1024  1 Si 1.62
Mn 0.0000 0.5000 0.7512  4 O 2.08
Si 0.7089 0.9237 0.2549  4 O 1.62-1.72
O 0.2326 0.9476 0.8549  1 Si 1.65
Li 0.4402 0.3504 0.7405  3 O 1.95-1.99
O 0.5000 0.5000 0.4087  2 Si 1.73
O 0.6574 0.7940 0.8523  1 Si 1.62
O 0.1134 0.1368 0.1381  1 Si 1.65
O 0.2317 0.4475 0.6048  1 Si 1.65
O 0.6574 0.7940 0.3523  1 Si 1.62
O 0.5000 0.5000 0.9087  2 Si 1.73
Mn 0.0000 0.0000 0.5010  4 O 2.08
O 0.7674 0.0524 0.8549  1 Si 1.65